A plane-wave DFT calculation with GGA-PBE was carried out for a relaxed structure of SrU2S5.

Unit cell a=8.252 b=7.423 c=11.627 alpha=90.00 beta=90.30 gamma=90.00
Space group P2_1/c (No. 14)
One atom of each set of equivalent atoms:
Sr (0.008, 0.047, 0.329)
U (0.254, 0.571, 0.491)
U (0.499, 0.019, 0.319)
S (0.040, 0.175, 0.078)
S (0.267, 0.692, 0.716)
S (0.277, 0.164, 0.812)
S (0.285, 0.547, 0.999)
S (0.455, 0.163, 0.098)

Results
E (MP2020) = -241.2 eV for the cell shown
ΔE to the lowest computed polymorph = 0.0 meV per atom

***

A plane-wave DFT calculation with GGA-PBE was carried out for a relaxed structure of SrUS2.

Unit cell a=8.041 b=8.041 c=14.239 alpha=90.00 beta=90.00 gamma=90.00
Space group I-42d (No. 122)
One atom of each set of equivalent atoms:
Sr (0.109, 0.750, 0.125)
U (0.095, 0.250, 0.625)
S (0.127, 0.667, 0.490)

Results
E (MP2020) = -215.3 eV for the cell shown

***

A plane-wave DFT calculation with GGA-PBE was carried out for a relaxed structure of SrU2S5.

Unit cell a=12.297 b=7.869 c=7.379 alpha=90.00 beta=90.00 gamma=90.00
Space group Pnma (No. 62)
One atom of each set of equivalent atoms:
Sr (0.006, 0.250, 0.076)
U (0.182, 0.002, 0.510)
S (0.003, 0.250, 0.480)
S (0.121, 0.545, 0.168)
S (0.188, 0.250, 0.821)
S (0.217, 0.750, 0.791)

Results
E (MP2020) = -235.5 eV for the cell shown
ΔE to the lowest computed polymorph = 179.1 meV per atom

***

A plane-wave DFT calculation with GGA-PBE was carried out for a relaxed structure of Sr3V5S11.

Unit cell a=8.627 b=15.009 c=23.509 alpha=90.00 beta=98.48 gamma=90.00
Space group C2/c (No. 15)
One atom of each set of equivalent atoms:
Sr (0.065, 0.176, 0.176)
Sr (0.168, 0.475, 0.179)
Sr (0.172, 0.125, 0.679)
V (0.000, 0.324, 0.750)
V (0.041, 0.088, 0.000)
V (0.058, 0.322, 0.876)
V (0.098, 0.338, 0.003)
V (0.196, 0.457, 0.498)
V (0.250, 0.250, 0.500)
S (0.000, 0.010, 0.250)
S (0.000, 0.342, 0.250)
S (0.004, 0.446, 0.940)
S (0.051, 0.225, 0.557)
S (0.085, 0.345, 0.432)
S (0.134, 0.015, 0.569)
S (0.138, 0.212, 0.814)
S (0.141, 0.434, 0.814)
S (0.149, 0.132, 0.438)
S (0.193, 0.325, 0.684)
S (0.202, 0.200, 0.056)
S (0.221, 0.077, 0.935)

Results
E (MP2020) = -1004.3 eV for the cell shown